1.
A relaxed MnH11C5NO6 crystal, computed with PBE+U.

a = 8.2955 Å, b = 8.2955 Å, c = 8.8306 Å
α = 63.71°, β = 63.71°, γ = 60.35°
With the nearest neighbours (Å) after each atom.
Sites, in units of the cell vectors:
C 0.0866 0.1351 0.3442  1 H 1.11
C 0.0019 0.5432 0.5043  3 H 1.09-1.10
C 0.6121 0.0338 0.3550  1 H 1.11
C 0.5773 0.5229 0.8477  1 H 1.10
C 0.1364 0.6250 0.1809  3 H 1.09
C 0.5432 0.0019 0.0043  3 H 1.09-1.10
C 0.5229 0.5773 0.3477  1 H 1.10
C 0.0338 0.6121 0.8550  1 H 1.11
C 0.1351 0.0866 0.8442  1 H 1.11
C 0.6250 0.1364 0.6809  3 H 1.09
O 0.1011 0.1418 0.9723  1 C 1.27
O 0.6854 0.3576 0.9248  1 C 1.28
O 0.3576 0.6854 0.4248  1 C 1.28
O 0.5473 0.4893 0.2485  1 C 1.27
O 0.5895 0.8739 0.4414  1 C 1.26
O 0.7771 0.0508 0.2705  1 C 1.28
O 0.4893 0.5473 0.7485  1 C 1.27
O 0.1418 0.1011 0.4723  1 C 1.27
O 0.0508 0.7771 0.7705  1 C 1.28
O 0.2886 0.9541 0.7878  1 C 1.27
O 0.9541 0.2886 0.2878  1 C 1.27
O 0.8739 0.5895 0.9414  1 C 1.26
H 0.5607 0.6511 0.8711  1 C 1.10
H 0.2585 0.4859 0.1908  1 C 1.09
H 0.4017 0.1212 0.0193  1 C 1.10
H 0.8842 0.5291 0.4927  1 C 1.09
H 0.1212 0.4017 0.5193  1 C 1.10
H 0.5973 0.9517 0.1158  1 C 1.09
H 0.1857 0.6917 0.3551  1 N 1.05
H 0.6511 0.5607 0.3711  1 C 1.10
H 0.0224 0.1591 0.7755  1 C 1.11
H 0.4823 0.1691 0.3505  1 C 1.11
H 0.1691 0.4823 0.8505  1 C 1.11
H 0.9595 0.8201 0.3246  1 N 1.06
H 0.8201 0.9595 0.8246  1 N 1.06
H 0.7354 0.1821 0.5661  1 C 1.09
H 0.6099 0.0158 0.6751  1 C 1.09
H 0.9517 0.5973 0.6158  1 C 1.09
H 0.1821 0.7354 0.0661  1 C 1.09
H 0.6917 0.1857 0.8551  1 N 1.05
H 0.4859 0.2585 0.6908  1 C 1.09
H 0.1591 0.0224 0.2755  1 C 1.11
H 0.5291 0.8842 0.9927  1 C 1.09
H 0.0158 0.6099 0.1751  1 C 1.09
N 0.0715 0.6822 0.3411  2 H 1.05-1.06
N 0.6822 0.0715 0.8411  2 H 1.05-1.06
Mn 0.8277 0.3216 0.1047  6 O 2.14-2.21
Mn 0.3216 0.8277 0.6047  6 O 2.14-2.21

Summary:
* calculated formation energy: -0.865 eV per atom
* E: -291.25 eV per cell

---

2.
A relaxed NdFe6BiB8O24 crystal, computed with PBE+U.

a = 7.5128 Å, b = 7.5128 Å, c = 7.5128 Å
α = 79.56°, β = 79.56°, γ = 79.56°
With the nearest neighbours (Å) after each atom.
Sites, in units of the cell vectors:
Fe 0.4455 0.0000 0.5545  6 O 1.95-2.00
Fe 0.0000 0.5545 0.4455  6 O 1.95-2.00
Fe 0.5000 0.0521 0.9479  6 O 1.98-2.07
Fe 0.5545 0.4455 0.0000  6 O 1.95-2.00
Fe 0.0521 0.9479 0.5000  6 O 1.98-2.07
Fe 0.9479 0.5000 0.0521  6 O 1.98-2.07
O 0.3070 0.9035 0.0680  1 B 1.38
O 0.4362 0.5927 0.1900  1 B 1.38
O 0.6930 0.9320 0.0965  1 B 1.38
O 0.1585 0.7460 0.3380  1 B 1.39
O 0.4073 0.5638 0.8100  1 B 1.38
O 0.0680 0.3070 0.9035  1 B 1.38
O 0.0965 0.6930 0.9320  1 B 1.38
O 0.3380 0.1585 0.7460  1 B 1.39
O 0.2540 0.8415 0.6620  1 B 1.39
O 0.8936 0.7453 0.6039  1 B 1.39
O 0.9320 0.0965 0.6930  1 B 1.38
O 0.7453 0.6039 0.8936  1 B 1.39
O 0.8415 0.6620 0.2540  1 B 1.39
O 0.9035 0.0680 0.3070  1 B 1.38
O 0.7460 0.3380 0.1585  1 B 1.39
O 0.5927 0.1900 0.4362  1 B 1.38
O 0.5638 0.8100 0.4073  1 B 1.38
O 0.1900 0.4362 0.5927  1 B 1.38
O 0.8100 0.4073 0.5638  1 B 1.38
O 0.2547 0.1064 0.3961  1 B 1.39
O 0.6039 0.8936 0.7453  1 B 1.39
O 0.3961 0.2547 0.1064  1 B 1.39
O 0.1064 0.3961 0.2547  1 B 1.39
O 0.6620 0.2540 0.8415  1 B 1.39
B 0.7462 0.1946 0.3048  3 O 1.38-1.39
B 0.3048 0.7462 0.1946  3 O 1.38-1.39
B 0.8054 0.2538 0.6952  3 O 1.38-1.39
B 0.2538 0.6952 0.8054  3 O 1.38-1.39
B 0.7460 0.7460 0.7460  3 O 1.39
B 0.2540 0.2540 0.2540  3 O 1.39
B 0.1946 0.3048 0.7462  3 O 1.38-1.39
B 0.6952 0.8054 0.2538  3 O 1.38-1.39
Nd 0.0000 0.0000 0.0000  6 O 2.41
Bi 0.5000 0.5000 0.5000  6 O 2.42

Summary:
* total moment: 30.0 Bohr magnetons per cell
* calculated formation energy: -2.411 eV per atom
* E: -298.08 eV per cell